Record 1
A plane-wave DFT calculation with PBE-GGA was carried out for a relaxed Er11Sn10 crystal.

Mass density in kg/m³: 8877
Magnetization in μB per cell: 0.00
Formation energy in eV/f.u.: -14.8

Cell: 11.567 11.567 16.926 Å, 90.00 90.00 90.00°
Space group I4/mmm (No. 139)
Inequivalent atoms, fractional coordinates:
Er (0.000, 0.000, 0.164)
Er (0.000, 0.252, 0.311)
Er (0.000, 0.330, 0.102)
Er (0.175, 0.175, 0.500)
Sn (0.000, 0.000, 0.387)
Sn (0.000, 0.356, 0.500)
Sn (0.000, 0.500, 0.250)
Sn (0.129, 0.129, 0.000)
Sn (0.206, 0.206, 0.175)

=====

Record 2
A plane-wave DFT calculation with PBE-GGA was carried out for a relaxed CeSbPt5 crystal.

Distance to the lowest polymorph of the same formula in meV/atom: 24.5
Mass density in kg/m³: 15568
Magnetization in μB per cell: 0.00
Formation energy in eV/f.u.: -4.8

Cell: 9.321 5.409 10.933 Å, 90.00 106.72 90.00°
Space group C2/m (No. 12)
Inequivalent atoms, fractional coordinates:
Ce (0.000, 0.000, 0.000)
Ce (0.000, 0.500, 0.500)
Sb (0.102, 0.000, 0.310)
Pt (0.075, 0.500, 0.231)
Pt (0.160, 0.500, 0.996)
Pt (0.175, 0.000, 0.552)
Pt (0.178, 0.251, 0.778)

=====

Record 3
A plane-wave DFT calculation with PBE-GGA was carried out for a relaxed MgIO12 crystal.

Distance to the lowest polymorph of the same formula in meV/atom: 0.0
Mass density in kg/m³: 2618
Magnetization in μB per cell: 11.88
Formation energy in eV/f.u.: 0.0

Cell: 4.371 10.501 9.745 Å, 90.00 103.25 90.00°
Space group Pc (No. 7)
Inequivalent atoms, fractional coordinates:
Mg (0.000, 0.187, 0.000)
I (0.025, 0.224, 0.581)
O (0.181, 0.133, 0.439)
O (0.232, 0.130, 0.731)
O (0.240, 0.369, 0.553)
O (0.337, 0.328, 0.979)
O (0.418, 0.124, 0.141)
O (0.618, 0.319, 0.962)
O (0.661, 0.146, 0.470)
O (0.689, 0.402, 0.284)
O (0.692, 0.108, 0.122)
O (0.828, 0.343, 0.672)
O (0.898, 0.053, 0.853)
O (0.915, 0.382, 0.232)

=====

Record 4
A plane-wave DFT calculation with PBE-GGA was carried out for a relaxed Ca3BiAu14 crystal.

Mass density in kg/m³: 13585
Formation energy in eV/f.u.: -7.4

Cell: 5.5522 5.5522 14.1321 Å, 90.00 90.00 120.00°
Space group P3m1 (No. 156)
Inequivalent atoms, fractional coordinates:
Ca (0.0000, 0.0000, 0.0000)
Ca (0.3333, 0.6667, 0.6543)
Ca (0.6667, 0.3333, 0.3268)
Bi (0.3333, 0.6667, 0.9100)
Au (0.0000, 0.0000, 0.2437)
Au (0.0000, 0.0000, 0.6151)
Au (0.1665, 0.3331, 0.4515)
Au (0.3333, 0.6667, 0.2868)
Au (0.3349, 0.1674, 0.7793)
Au (0.5007, 0.0014, 0.1240)
Au (0.6667, 0.3333, 0.5732)
Au (0.6667, 0.3333, 0.9528)

=====

Record 5
A plane-wave DFT calculation with PBE-GGA was carried out for a relaxed Sm2In3Co9 crystal.

Mass density in kg/m³: 8898
Magnetization in μB per cell: 23.51
Formation energy in eV/f.u.: -0.6

Cell: 4.033 22.202 4.900 Å, 90.00 90.00 90.00°
Space group Amm2 (No. 38)
Inequivalent atoms, fractional coordinates:
Sm (0.000, 0.181, 0.000)
In (0.000, 0.000, 0.507)
In (0.500, 0.202, 0.500)
Co (0.000, 0.061, 0.005)
Co (0.000, 0.119, 0.506)
Co (0.500, 0.000, 0.009)
Co (0.500, 0.092, 0.754)
Co (0.500, 0.093, 0.261)

=====

Record 6
A plane-wave DFT calculation with PBE-GGA was carried out for a relaxed BaNi2P4 crystal.

Mass density in kg/m³: 4991
Formation energy in eV/f.u.: -4.6

Cell: 5.812 6.513 6.656 Å, 90.00 90.00 90.00°
Space group Immm (No. 71)
Inequivalent atoms, fractional coordinates:
Ba (0.000, 0.000, 0.000)
Ni (0.238, 0.500, 0.000)
P (0.000, 0.254, 0.500)
P (0.000, 0.500, 0.261)

=====

Record 7
A plane-wave DFT calculation with PBE-GGA was carried out for a relaxed KRb2AlBr6 crystal.

Mass density in kg/m³: 3269
Magnetization in μB per cell: 0.01
Formation energy in eV/f.u.: -18.0

Cell: 11.334 11.334 11.334 Å, 90.00 90.00 90.00°
Space group Fm-3m (No. 225)
Inequivalent atoms, fractional coordinates:
K (0.000, 0.000, 0.000)
Rb (0.250, 0.250, 0.250)
Al (0.000, 0.000, 0.500)
Br (0.000, 0.000, 0.277)

=====

Record 8
A plane-wave DFT calculation with PBE-GGA was carried out for a relaxed Cd3P2O8 crystal.

Distance to the lowest polymorph of the same formula in meV/atom: 0.0
Mass density in kg/m³: 4909
Formation energy in eV/f.u.: -29.3

Cell: 9.341 10.525 22.492 Å, 90.00 104.63 90.00°
Space group P2_1/c (No. 14)
Inequivalent atoms, fractional coordinates:
Cd (0.009, 0.212, 0.457)
Cd (0.019, 0.606, 0.416)
Cd (0.070, 0.090, 0.282)
Cd (0.288, 0.604, 0.893)
Cd (0.302, 0.103, 0.753)
Cd (0.302, 0.705, 0.705)
Cd (0.356, 0.604, 0.077)
Cd (0.380, 0.096, 0.940)
Cd (0.381, 0.210, 0.135)
P (0.029, 0.142, 0.831)
P (0.072, 0.080, 0.605)
P (0.259, 0.564, 0.560)
P (0.281, 0.635, 0.329)
P (0.373, 0.146, 0.501)
P (0.428, 0.072, 0.280)
O (0.003, 0.682, 0.942)
O (0.045, 0.535, 0.860)
O (0.056, 0.743, 0.150)
O (0.089, 0.550, 0.706)
O (0.108, 0.610, 0.519)
O (0.123, 0.535, 0.071)
O (0.124, 0.076, 0.890)
O (0.132, 0.200, 0.793)
O (0.178, 0.582, 0.269)
O (0.193, 0.695, 0.372)
O (0.210, 0.138, 0.651)
O (0.223, 0.055, 0.096)
O (0.247, 0.245, 0.494)
O (0.318, 0.009, 0.482)
O (0.321, 0.041, 0.321)
O (0.326, 0.674, 0.604)
O (0.360, 0.183, 0.236)
O (0.370, 0.526, 0.522)
O (0.375, 0.746, 0.311)
O (0.392, 0.531, 0.360)
O (0.418, 0.614, 0.179)
O (0.459, 0.141, 0.571)
O (0.459, 0.545, 0.742)
O (0.471, 0.200, 0.459)

=====

Record 9
A plane-wave DFT calculation with PBE-GGA was carried out for a relaxed Na3NdAs2O8 crystal.

Distance to the lowest polymorph of the same formula in meV/atom: 84.5
Mass density in kg/m³: 3630
Magnetization in μB per cell: 0.00
Formation energy in eV/f.u.: -31.9

Cell: 5.9256 5.9256 7.3865 Å, 90.00 90.00 120.00°
Space group P-3m1 (No. 164)
Inequivalent atoms, fractional coordinates:
Na (0.0000, 0.0000, 0.0000)
Na (0.3333, 0.6667, 0.6994)
Nd (0.0000, 0.0000, 0.5000)
As (0.3333, 0.6667, 0.2153)
O (0.1777, 0.3554, 0.3058)
O (0.3333, 0.6667, 0.9890)

=====

Record 10
A plane-wave DFT calculation with PBE-GGA was carried out for a relaxed Ba2Tl2O5 crystal.

Mass density in kg/m³: 7326
Formation energy in eV/f.u.: -17.7

Cell: 6.180 17.369 6.448 Å, 90.00 90.00 90.00°
Space group Pnma (No. 62)
Inequivalent atoms, fractional coordinates:
Ba (0.009, 0.111, 0.019)
Tl (0.000, 0.000, 0.500)
Tl (0.025, 0.250, 0.556)
O (0.047, 0.639, 0.574)
O (0.114, 0.750, 0.121)
O (0.246, 0.015, 0.723)